1.
Computed, not measured: a geometry-optimized MnZnF6 structure at the PBE+U level of DFT.

Output
Space-group type: R-3

Cell: 5.4011 5.4011 5.4011 Å, 58.30 58.30 58.30°
Fractional coordinates of all 8 atoms:
F1 0.8531 0.2357 0.6727
F2 0.2357 0.6727 0.8531
F3 0.1469 0.7643 0.3273
F4 0.3273 0.1469 0.7643
F5 0.7643 0.3273 0.1469
F6 0.6727 0.8531 0.2357
Mn1 0.0000 0.0000 0.0000
Zn1 0.5000 0.5000 0.5000

=====

2.
Computed, not measured: a geometry-optimized Li3V3P8O29 structure at the PBE+U level of DFT.

Output
Space-group type: P1

Cell: 9.7395 9.7773 14.2636 Å, 89.52 89.61 60.18°
Fractional coordinates of all 86 atoms:
O1 0.6725 0.8110 0.8265
O2 0.3304 0.3344 0.0265
O3 0.3286 0.1874 0.1748
O4 0.2057 0.8015 0.0773
O5 0.0089 0.7828 0.9295
O6 0.9154 0.7412 0.1709
O7 0.7989 0.9943 0.2580
O8 0.3408 0.4818 0.6756
O9 0.6641 0.6576 0.4704
O10 0.4853 0.1811 0.6761
O11 0.3495 0.9124 0.1688
O12 0.7935 0.2138 0.9181
O13 0.6201 0.9209 0.1708
O14 0.2090 0.7982 0.2559
O15 0.5179 0.6700 0.8260
O16 0.3387 0.7432 0.6669
O17 0.6680 0.6598 0.9746
O18 0.0054 0.7673 0.5760
O19 0.9817 0.2386 0.0649
O20 0.3803 0.0831 0.8278
O21 0.8146 0.6590 0.3221
O22 0.1866 0.3411 0.6800
O23 0.0775 0.5362 0.8288
O24 0.8050 0.9948 0.0783
O25 0.0928 0.3801 0.3232
O26 0.5337 0.3822 0.8295
O27 0.7857 0.2023 0.7405
O28 0.2583 0.0819 0.3374
O29 0.9924 0.2276 0.4199
O30 0.2424 0.7530 0.4302
O31 0.5166 0.8196 0.3262
O32 0.4617 0.6185 0.1684
O33 0.7571 0.2518 0.5674
O34 0.3371 0.3366 0.5303
O35 0.0822 0.2607 0.8344
O36 0.0127 0.2000 0.2417
O37 0.9143 0.4715 0.1729
O38 0.6578 0.5201 0.3225
O39 0.0850 0.6569 0.3357
O40 0.3811 0.5218 0.3198
O41 0.5229 0.0960 0.3193
O42 0.4812 0.3313 0.1738
O43 0.4782 0.9037 0.6823
O44 0.6582 0.2600 0.3347
O45 0.7418 0.9185 0.6624
O46 0.9930 0.7984 0.7527
O47 0.2034 0.0016 0.9218
O48 0.2560 0.9822 0.5644
O49 0.2002 0.0119 0.7409
O50 0.2564 0.6520 0.8304
O51 0.8156 0.5113 0.8286
O52 0.9133 0.3452 0.6670
O53 0.1854 0.4827 0.1769
O54 0.7432 0.3454 0.1699
O55 0.6169 0.4813 0.6799
O56 0.6548 0.0861 0.8348
O57 0.7475 0.0177 0.4350
O58 0.9044 0.6207 0.6777
P1 0.9122 0.7752 0.6604
P2 0.6618 0.6658 0.3662
P3 0.3190 0.9109 0.6575
P4 0.2302 0.6802 0.3407
P5 0.6714 0.6619 0.8709
P6 0.0874 0.2255 0.3375
P7 0.9161 0.3146 0.1563
P8 0.7836 0.9165 0.1613
P9 0.6927 0.2224 0.8386
P10 0.3279 0.3377 0.1300
P11 0.3413 0.3338 0.6343
P12 0.3049 0.7806 0.1593
P13 0.6812 0.0907 0.3426
P14 0.0799 0.6922 0.8437
P15 0.7668 0.3233 0.6578
P16 0.2176 0.0848 0.8390
Li1 0.9091 0.3231 0.9433
Li2 0.2246 0.6853 0.5560
Li3 0.6931 0.0839 0.5593
Li4 0.0146 0.9434 0.0075
Li5 0.3106 0.9158 0.4378
Li6 0.7734 0.3175 0.4396
V1 0.9986 0.5681 0.2516
V2 0.4358 0.0045 0.2429
V3 0.5623 0.4339 0.2416
V4 0.5649 0.9959 0.7582
V5 0.0028 0.4350 0.7464
V6 0.4353 0.5691 0.7589

=====

3.
Computed, not measured: a geometry-optimized Co6Ge2C19O19 structure at the PBE+U level of DFT.

Output
Space-group type: Cmce

Cell: 11.0779 11.0779 26.6671 Å, 90.00 90.00 109.12°
Fractional coordinates of all 184 atoms:
C1 0.4569 0.0886 0.6175
C2 0.9662 0.9662 0.0961
C3 0.0152 0.8652 0.1826
C4 0.6511 0.8003 0.2340
C5 0.3552 0.9346 0.3331
C6 0.8489 0.6997 0.7340
C7 0.5152 0.3652 0.3174
C8 0.3397 0.9188 0.8877
C9 0.8552 0.4346 0.1669
C10 0.9488 0.0994 0.4063
C11 0.4170 0.2627 0.4773
C12 0.4662 0.4662 0.4039
C13 0.5512 0.4006 0.9063
C14 0.2627 0.4170 0.4773
C15 0.0654 0.6448 0.6669
C16 0.4488 0.5994 0.0937
C17 0.1448 0.5654 0.8331
C18 0.3787 0.9698 0.4438
C19 0.5654 0.1448 0.8331
C20 0.4114 0.0431 0.1175
C21 0.9386 0.9386 0.6934
C22 0.1348 0.9848 0.8174
C23 0.6997 0.8489 0.7340
C24 0.3410 0.3410 0.9690
C25 0.2373 0.0830 0.9773
C26 0.9848 0.1348 0.8174
C27 0.1997 0.3489 0.7660
C28 0.9170 0.7627 0.0227
C29 0.9006 0.0512 0.5937
C30 0.8787 0.4698 0.0562
C31 0.5302 0.1213 0.9438
C32 0.4386 0.4386 0.8066
C33 0.5338 0.5338 0.5961
C34 0.4848 0.6348 0.6826
C35 0.8003 0.6511 0.2340
C36 0.3489 0.1997 0.7660
C37 0.6213 0.0302 0.5562
C38 0.6603 0.0812 0.1123
C39 0.4006 0.5512 0.9063
C40 0.0614 0.0614 0.3066
C41 0.4346 0.8552 0.1669
C42 0.8652 0.0152 0.1826
C43 0.9346 0.3552 0.3331
C44 0.5812 0.1603 0.3877
C45 0.6448 0.0654 0.6669
C46 0.5431 0.9114 0.3825
C47 0.9114 0.5431 0.3825
C48 0.9188 0.3397 0.8877
C49 0.3652 0.5152 0.3174
C50 0.7627 0.9170 0.0227
C51 0.5830 0.7373 0.5227
C52 0.7373 0.5830 0.5227
C53 0.8410 0.8410 0.5310
C54 0.0812 0.6603 0.1123
C55 0.4698 0.8787 0.0562
C56 0.0302 0.6213 0.5562
C57 0.9569 0.5886 0.8825
C58 0.5886 0.9569 0.8825
C59 0.5614 0.5614 0.1934
C60 0.5994 0.4488 0.0937
C61 0.0431 0.4114 0.1175
C62 0.3003 0.1511 0.2660
C63 0.6590 0.6590 0.0310
C64 0.0338 0.0338 0.9039
C65 0.9698 0.3787 0.4438
C66 0.1603 0.5812 0.3877
C67 0.0994 0.9488 0.4063
C68 0.0512 0.9006 0.5937
C69 0.1213 0.5302 0.9438
C70 0.6348 0.4848 0.6826
C71 0.8397 0.4188 0.6123
C72 0.4188 0.8397 0.6123
C73 0.0886 0.4569 0.6175
C74 0.1511 0.3003 0.2660
C75 0.0830 0.2373 0.9773
C76 0.1590 0.1590 0.4690
O1 0.1381 0.8977 0.7939
O2 0.0621 0.6667 0.5174
O3 0.6262 0.2089 0.8019
O4 0.7089 0.1262 0.6981
O5 0.0431 0.0431 0.0728
O6 0.8776 0.8776 0.4903
O7 0.2460 0.8346 0.8941
O8 0.2089 0.6262 0.8019
O9 0.1667 0.5621 0.9826
O10 0.8745 0.6363 0.7640
O11 0.6600 0.4166 0.9083
O12 0.3776 0.3776 0.0097
O13 0.4934 0.2432 0.5028
O14 0.3619 0.6023 0.2939
O15 0.3738 0.7911 0.1981
O16 0.8346 0.2460 0.8941
O17 0.9166 0.1600 0.5917
O18 0.1363 0.3745 0.7360
O19 0.1262 0.7089 0.6981
O20 0.6255 0.8637 0.2640
O21 0.0834 0.8400 0.4083
O22 0.8401 0.5991 0.3810
O23 0.9009 0.6599 0.8810
O24 0.3637 0.1255 0.2360
O25 0.6599 0.9009 0.8810
O26 0.8738 0.2911 0.3019
O27 0.4009 0.1599 0.6190
O28 0.4379 0.8333 0.0174
O29 0.9379 0.3333 0.4826
O30 0.7911 0.3738 0.1981
O31 0.3400 0.5834 0.0917
O32 0.5991 0.8401 0.3810
O33 0.2540 0.6654 0.3941
O34 0.4569 0.4569 0.5728
O35 0.6381 0.3977 0.7061
O36 0.7460 0.3346 0.6059
O37 0.3977 0.6381 0.7061
O38 0.2432 0.4934 0.5028
O39 0.2911 0.8738 0.3019
O40 0.0991 0.3401 0.1190
O41 0.5621 0.1667 0.9826
O42 0.8637 0.6255 0.2640
O43 0.5066 0.7568 0.4972
O44 0.5834 0.3400 0.0917
O45 0.1255 0.3637 0.2360
O46 0.3333 0.9379 0.4826
O47 0.4731 0.4731 0.2032
O48 0.8333 0.4379 0.0174
O49 0.2568 0.0066 0.0028
O50 0.5269 0.5269 0.7968
O51 0.6667 0.0621 0.5174
O52 0.1600 0.9166 0.5917
O53 0.0269 0.0269 0.7032
O54 0.1599 0.4009 0.6190
O55 0.3745 0.1363 0.7360
O56 0.8977 0.1381 0.7939
O57 0.5431 0.5431 0.4272
O58 0.9569 0.9569 0.9272
O59 0.9934 0.7432 0.9972
O60 0.6224 0.6224 0.9903
O61 0.6363 0.8745 0.7640
O62 0.4166 0.6600 0.9083
O63 0.8400 0.0834 0.4083
O64 0.8619 0.1023 0.2061
O65 0.6654 0.2540 0.3941
O66 0.7540 0.1654 0.1059
O67 0.9731 0.9731 0.2968
O68 0.1224 0.1224 0.5097
O69 0.6023 0.3619 0.2939
O70 0.3401 0.0991 0.1190
O71 0.7568 0.5066 0.4972
O72 0.3346 0.7460 0.6059
O73 0.1023 0.8619 0.2061
O74 0.1654 0.7540 0.1059
O75 0.0066 0.2568 0.0028
O76 0.7432 0.9934 0.9972
Co1 0.6144 0.6144 0.6495
Co2 0.2972 0.2972 0.4419
Co3 0.4841 0.0490 0.8840
Co4 0.3025 0.3025 0.8066
Co5 0.1115 0.1115 0.4021
Co6 0.1144 0.1144 0.8505
Co7 0.9841 0.5490 0.6160
Co8 0.6115 0.6115 0.0979
Co9 0.6975 0.6975 0.1934
Co10 0.5159 0.9510 0.1160
Co11 0.9510 0.5159 0.1160
Co12 0.3885 0.3885 0.9021
Co13 0.8885 0.8885 0.5979
Co14 0.8025 0.8025 0.6934
Co15 0.8856 0.8856 0.1495
Co16 0.3856 0.3856 0.3505
Co17 0.2028 0.2028 0.9419
Co18 0.7972 0.7972 0.0581
Co19 0.4510 0.0159 0.3840
Co20 0.7028 0.7028 0.5581
Co21 0.0490 0.4841 0.8840
Co22 0.5490 0.9841 0.6160
Co23 0.1975 0.1975 0.3066
Co24 0.0159 0.4510 0.3840
Ge1 0.1613 0.3287 0.3754
Ge2 0.6613 0.8287 0.1246
Ge3 0.8287 0.6613 0.1246
Ge4 0.6713 0.8387 0.6246
Ge5 0.8387 0.6713 0.6246
Ge6 0.3387 0.1713 0.8754
Ge7 0.1713 0.3387 0.8754
Ge8 0.3287 0.1613 0.3754

=====

4.
Computed, not measured: a geometry-optimized MnMoH2SeO7 structure at the PBE+U level of DFT.

Output
Space-group type: P2_1

Cell: 12.9860 6.6108 7.1872 Å, 89.87 90.00 90.00°
Fractional coordinates of all 48 atoms:
H1 0.4394 0.9961 0.9679
H2 0.9394 0.0039 0.0321
H3 0.4638 0.2214 0.9107
H4 0.4316 0.1233 0.3801
H5 0.9316 0.8767 0.6199
H6 0.4340 0.1058 0.5931
H7 0.9340 0.8942 0.4069
H8 0.9638 0.7786 0.0893
O1 0.5280 0.5914 0.3143
O2 0.1663 0.7408 0.3090
O3 0.9466 0.7983 0.5082
O4 0.8272 0.5390 0.1861
O5 0.4969 0.0942 0.9462
O6 0.3272 0.4610 0.8139
O7 0.8251 0.5240 0.8032
O8 0.1409 0.5304 0.0024
O9 0.5285 0.5890 0.6845
O10 0.3251 0.4760 0.1968
O11 0.1756 0.1583 0.8220
O12 0.8335 0.1714 0.0048
O13 0.7193 0.6039 0.4959
O14 0.9969 0.9058 0.0538
O15 0.6756 0.8417 0.1780
O16 0.4466 0.2017 0.4918
O17 0.6651 0.2612 0.2999
O18 0.8392 0.1814 0.4933
O19 0.3335 0.8286 0.9952
O20 0.3392 0.8186 0.5067
O21 0.1813 0.1622 0.1868
O22 0.0280 0.4086 0.6857
O23 0.6813 0.8378 0.8132
O24 0.0285 0.4110 0.3155
O25 0.2193 0.3961 0.5041
O26 0.6409 0.4696 0.9976
O27 0.6663 0.2592 0.6910
O28 0.1651 0.7388 0.7001
Se1 0.7109 0.1259 0.4947
Se2 0.8839 0.4116 0.9974
Se3 0.2109 0.8741 0.5053
Se4 0.3839 0.5884 0.0026
Mn1 0.8965 0.4795 0.4995
Mn2 0.6695 0.1084 0.9934
Mn3 0.1695 0.8916 0.0066
Mn4 0.3965 0.5205 0.5005
Mo1 0.1586 0.4133 0.7522
Mo2 0.6601 0.5841 0.7473
Mo3 0.6586 0.5867 0.2478
Mo4 0.1601 0.4159 0.2527

=====

Number 1: E -4.7310 eV per atom, V 13.38 Å³/atom. Number 2: E -7.0545 eV per atom, V 13.70 Å³/atom. Number 3: E -7.2227 eV per atom, V 16.80 Å³/atom. Number 4: E -6.2399 eV per atom, V 12.85 Å³/atom.